No. 1
# Li7VN4 (r²SCAN, optimized geometry)
# Theoretical density   2.411 g/cm³
# Crystal system   cubic
# Space group   Pa-3, No. 205
data_Li7VN4
_space_group_name_H-M_alt 'P 1'
_space_group_IT_number 1
_space_group_name_Hall 'P 1'
_cell_length_a 9.4994
_cell_length_b 9.4994
_cell_length_c 9.4994
_cell_angle_alpha 90.00
_cell_angle_beta 90.00
_cell_angle_gamma 90.00
loop_
_atom_site_label
_atom_site_fract_x
_atom_site_fract_y
_atom_site_fract_z
Li1 0.8640 0.3805 0.3960
Li2 0.3640 0.1195 0.6040
Li3 0.1360 0.8805 0.1040
Li4 0.1195 0.6040 0.3640
Li5 0.1040 0.1360 0.8805
Li6 0.6040 0.3640 0.1195
Li7 0.3805 0.3960 0.8640
Li8 0.3960 0.8640 0.3805
Li9 0.8805 0.1040 0.1360
Li10 0.6195 0.8960 0.6360
Li11 0.8960 0.6360 0.6195
Li12 0.6360 0.6195 0.8960
Li13 0.1360 0.6195 0.6040
Li14 0.6360 0.8805 0.3960
Li15 0.8640 0.1195 0.8960
Li16 0.8805 0.3960 0.6360
Li17 0.8960 0.8640 0.1195
Li18 0.3960 0.6360 0.8805
Li19 0.6195 0.6040 0.1360
Li20 0.6040 0.1360 0.6195
Li21 0.1195 0.8960 0.8640
Li22 0.3805 0.1040 0.3640
Li23 0.1040 0.3640 0.3805
Li24 0.8690 0.6303 0.1161
Li25 0.3640 0.3805 0.1040
Li26 0.1303 0.1161 0.6310
Li27 0.3697 0.8839 0.1310
Li28 0.1161 0.6310 0.1303
Li29 0.1310 0.3697 0.8839
Li30 0.6310 0.1303 0.1161
Li31 0.3839 0.3690 0.6303
Li32 0.3690 0.6303 0.3839
Li33 0.8839 0.1310 0.3697
Li34 0.6161 0.8690 0.8697
Li35 0.8690 0.8697 0.6161
Li36 0.8697 0.6161 0.8690
Li37 0.3697 0.6161 0.6310
Li38 0.8697 0.8839 0.3690
Li39 0.6303 0.1161 0.8690
Li40 0.8839 0.3690 0.8697
Li41 0.1326 0.1326 0.1326
Li42 0.3674 0.8674 0.6326
Li43 0.6326 0.3674 0.8674
Li44 0.8674 0.6326 0.3674
Li45 0.8674 0.8674 0.8674
Li46 0.6326 0.1326 0.3674
Li47 0.3674 0.6326 0.1326
Li48 0.1326 0.3674 0.6326
Li49 0.1303 0.3839 0.1310
Li50 0.1310 0.1303 0.3839
Li51 0.3839 0.1310 0.1303
Li52 0.1161 0.8690 0.6303
Li53 0.6310 0.3697 0.6161
Li54 0.6161 0.6310 0.3697
Li55 0.3690 0.8697 0.8839
Li56 0.6303 0.3839 0.3690
V1 0.3703 0.1297 0.8703
V2 0.1297 0.8703 0.3703
V3 0.8703 0.3703 0.1297
V4 0.6297 0.6297 0.6297
V5 0.6297 0.8703 0.1297
V6 0.8703 0.1297 0.6297
V7 0.1297 0.6297 0.8703
V8 0.3703 0.3703 0.3703
N1 0.9857 0.2591 0.0216
N2 0.4857 0.2409 0.9784
N3 0.0143 0.7591 0.4784
N4 0.2409 0.9784 0.4857
N5 0.4784 0.0143 0.7591
N6 0.9784 0.4857 0.2409
N7 0.2591 0.0216 0.9857
N8 0.0216 0.9857 0.2591
N9 0.7591 0.4784 0.0143
N10 0.7409 0.5216 0.5143
N11 0.5216 0.5143 0.7409
N12 0.5143 0.7409 0.5216
N13 0.0143 0.7409 0.9784
N14 0.5143 0.7591 0.0216
N15 0.9857 0.2409 0.5216
N16 0.7591 0.0216 0.5143
N17 0.5216 0.9857 0.2409
N18 0.0216 0.5143 0.7591
N19 0.7409 0.9784 0.0143
N20 0.9784 0.0143 0.7409
N21 0.2409 0.5216 0.9857
N22 0.2591 0.4784 0.4857
N23 0.4784 0.4857 0.2591
N24 0.4857 0.2591 0.4784
N25 0.2601 0.2399 0.7601
N26 0.2399 0.7601 0.2601
N27 0.7601 0.2601 0.2399
N28 0.7399 0.7399 0.7399
N29 0.7399 0.7601 0.2399
N30 0.7601 0.2399 0.7399
N31 0.2399 0.7399 0.7601
N32 0.2601 0.2601 0.2601

***

No. 2
# LiZr2N3 (r²SCAN, optimized geometry)
# Theoretical density   4.633 g/cm³
# Crystal system   orthorhombic
# Space group   Cmcm, No. 63
data_LiZr2N3
_space_group_name_H-M_alt 'P 1'
_space_group_IT_number 1
_space_group_name_Hall 'P 1'
_cell_length_a 6.5939
_cell_length_b 6.6089
_cell_length_c 4.3986
_cell_angle_alpha 90.00
_cell_angle_beta 90.00
_cell_angle_gamma 120.08
loop_
_atom_site_label
_atom_site_fract_x
_atom_site_fract_y
_atom_site_fract_z
Li1 0.0000 0.6325 0.4313
Li2 0.0000 0.3675 0.9313
Zr1 0.3174 0.3368 0.4313
Zr2 0.6826 0.0194 0.4313
Zr3 0.6826 0.6632 0.9313
Zr4 0.3174 0.9806 0.9313
N1 0.3641 0.3306 0.9314
N2 0.6359 0.9665 0.9314
N3 0.6359 0.6694 0.4314
N4 0.3641 0.0335 0.4314
N5 0.0000 0.6862 0.9313
N6 0.0000 0.3138 0.4313

***

What size of the total moment values result from the calculations? In sequence: 0.0, 0.0 μB per formula unit.
What raw total energy values result from the calculations? In sequence: -0.483, -1.043 Ry per atom.
What formation energy values result from the calculations? In sequence: -92.53, -158.43 kJ per mole of atoms.